Pr8Br13N3O: optimized geometry, PBE-GGA.

Results
Uncorrected energy (eV per atom): -5.536
Size of the total moment (μB per formula unit): 0.00

Structure (POSCAR):
```
Pr8Br13N3O
1.0
-9.931 -6.602 -0.498
-7.748 -4.976 7.595
-14.908 8.107 2.394
Br Pr N O
26 16 6 2
Direct
0.869 0.132 0.249
0.248 0.397 0.938
0.704 0.894 0.639
0.501 0.196 0.138
0.132 0.869 0.749
0.243 0.129 0.683
0.894 0.704 0.139
0.775 0.374 0.772
0.637 0.295 0.471
0.499 0.804 0.864
0.872 0.756 0.816
0.626 0.226 0.727
0.374 0.775 0.272
0.196 0.501 0.638
0.748 0.605 0.062
0.706 0.363 0.029
0.226 0.626 0.227
0.605 0.748 0.562
0.105 0.295 0.862
0.295 0.105 0.362
0.129 0.243 0.183
0.756 0.872 0.316
0.397 0.248 0.438
0.804 0.499 0.364
0.363 0.706 0.529
0.295 0.637 0.971
0.751 0.391 0.560
0.608 0.245 0.941
0.027 0.099 0.386
0.205 0.054 0.556
0.054 0.205 0.056
0.954 0.510 0.612
0.099 0.027 0.886
0.940 0.798 0.945
0.501 0.046 0.886
0.972 0.901 0.613
0.391 0.751 0.060
0.798 0.940 0.445
0.046 0.501 0.386
0.510 0.954 0.112
0.245 0.608 0.441
0.901 0.972 0.113
0.019 0.886 0.465
0.634 0.010 0.969
0.010 0.634 0.469
0.981 0.116 0.536
0.886 0.019 0.965
0.116 0.981 0.036
0.363 0.989 0.032
0.989 0.363 0.532
```